No. 1
Material: PrHoZn2
Method: DFT, meta-GGA r2SCAN
State: relaxed

```
data_PrHoZn2
_cell_length_a 5.115
_cell_length_b 5.115
_cell_length_c 5.115
_cell_angle_alpha 60.00
_cell_angle_beta 60.00
_cell_angle_gamma 60.00
_space_group_name_H-M_alt 'P 1'
_space_group_IT_number 1
loop_
_space_group_symop_operation_xyz
'x,y,z'
loop_
_atom_site_label
_atom_site_fract_x
_atom_site_fract_y
_atom_site_fract_z
_atom_site_occupancy
Zn1 0.000 0.000 0.000 1
Ho1 0.250 0.250 0.250 1
Zn2 0.500 0.500 0.500 1
Pr1 0.750 0.750 0.750 1
```


No. 2
Material: HoPt
Method: DFT, meta-GGA r2SCAN
State: relaxed

```
data_HoPt
_cell_length_a 4.498
_cell_length_b 5.508
_cell_length_c 6.955
_cell_angle_alpha 90.00
_cell_angle_beta 90.00
_cell_angle_gamma 90.00
_space_group_name_H-M_alt 'P 1'
_space_group_IT_number 1
loop_
_space_group_symop_operation_xyz
'x,y,z'
loop_
_atom_site_label
_atom_site_fract_x
_atom_site_fract_y
_atom_site_fract_z
_atom_site_occupancy
Ho1 0.750 0.640 0.318 1
Ho2 0.750 0.860 0.818 1
Ho3 0.250 0.140 0.182 1
Ho4 0.250 0.360 0.682 1
Pt1 0.250 0.845 0.543 1
Pt2 0.750 0.155 0.457 1
Pt3 0.250 0.655 0.043 1
Pt4 0.750 0.345 0.957 1
```


No. 3
Material: HoPt2
Method: DFT, meta-GGA r2SCAN
State: relaxed

```
data_HoPt2
_cell_length_a 5.390
_cell_length_b 5.390
_cell_length_c 5.390
_cell_angle_alpha 60.00
_cell_angle_beta 60.00
_cell_angle_gamma 60.00
_space_group_name_H-M_alt 'P 1'
_space_group_IT_number 1
loop_
_space_group_symop_operation_xyz
'x,y,z'
loop_
_atom_site_label
_atom_site_fract_x
_atom_site_fract_y
_atom_site_fract_z
_atom_site_occupancy
Pt1 0.500 0.500 0.000 1
Pt2 0.500 0.000 0.500 1
Ho1 0.875 0.875 0.875 1
Pt3 0.000 0.500 0.500 1
Ho2 0.125 0.125 0.125 1
Pt4 0.500 0.500 0.500 1
```


No. 4
Material: Ho2Pt
Method: DFT, meta-GGA r2SCAN
State: relaxed

```
data_Ho2Pt
_cell_length_a 4.735
_cell_length_b 7.081
_cell_length_c 8.723
_cell_angle_alpha 90.00
_cell_angle_beta 90.00
_cell_angle_gamma 90.00
_space_group_name_H-M_alt 'P 1'
_space_group_IT_number 1
loop_
_space_group_symop_operation_xyz
'x,y,z'
loop_
_atom_site_label
_atom_site_fract_x
_atom_site_fract_y
_atom_site_fract_z
_atom_site_occupancy
Pt1 0.750 0.741 0.908 1
Pt2 0.250 0.259 0.092 1
Pt3 0.250 0.759 0.408 1
Ho1 0.750 0.143 0.919 1
Ho2 0.250 0.491 0.833 1
Ho3 0.250 0.991 0.667 1
Pt4 0.750 0.241 0.592 1
Ho4 0.750 0.643 0.581 1
Ho5 0.750 0.009 0.333 1
Ho6 0.250 0.857 0.081 1
Ho7 0.250 0.357 0.419 1
Ho8 0.750 0.509 0.167 1
```


No. 5
Material: Ho5Pt4
Method: DFT, meta-GGA r2SCAN
State: relaxed

```
data_Ho5Pt4
_cell_length_a 7.449
_cell_length_b 7.531
_cell_length_c 14.431
_cell_angle_alpha 90.00
_cell_angle_beta 90.00
_cell_angle_gamma 90.00
_space_group_name_H-M_alt 'P 1'
_space_group_IT_number 1
loop_
_space_group_symop_operation_xyz
'x,y,z'
loop_
_atom_site_label
_atom_site_fract_x
_atom_site_fract_y
_atom_site_fract_z
_atom_site_occupancy
Ho1 0.998 0.180 0.906 1
Ho2 0.682 0.011 0.750 1
Pt1 0.184 0.533 0.541 1
Pt2 0.316 0.142 0.750 1
Ho3 0.998 0.180 0.594 1
Pt3 0.816 0.358 0.750 1
Pt4 0.684 0.858 0.250 1
Ho4 0.844 0.667 0.622 1
Pt5 0.184 0.533 0.959 1
Ho5 0.502 0.680 0.406 1
Pt6 0.316 0.033 0.041 1
Pt7 0.684 0.967 0.541 1
Ho6 0.502 0.680 0.094 1
Ho7 0.818 0.511 0.250 1
Ho8 0.498 0.320 0.594 1
Ho9 0.002 0.820 0.094 1
Pt8 0.684 0.967 0.959 1
Ho10 0.344 0.833 0.622 1
Pt9 0.816 0.467 0.459 1
Ho11 0.156 0.333 0.122 1
Ho12 0.002 0.820 0.406 1
Ho13 0.318 0.989 0.250 1
Pt10 0.047 0.887 0.750 1
Ho14 0.498 0.320 0.906 1
Ho15 0.656 0.167 0.122 1
Pt11 0.547 0.613 0.750 1
Ho16 0.182 0.489 0.750 1
Pt12 0.453 0.387 0.250 1
Ho17 0.844 0.667 0.878 1
Ho18 0.156 0.333 0.378 1
Pt13 0.816 0.467 0.041 1
Pt14 0.953 0.113 0.250 1
Pt15 0.184 0.642 0.250 1
Pt16 0.316 0.033 0.459 1
Ho19 0.656 0.167 0.378 1
Ho20 0.344 0.833 0.878 1
```


No. 6
Material: HoPt3
Method: DFT, meta-GGA r2SCAN
State: relaxed

```
data_HoPt3
_cell_length_a 4.084
_cell_length_b 4.084
_cell_length_c 4.084
_cell_angle_alpha 90.00
_cell_angle_beta 90.00
_cell_angle_gamma 90.00
_space_group_name_H-M_alt 'P 1'
_space_group_IT_number 1
loop_
_space_group_symop_operation_xyz
'x,y,z'
loop_
_atom_site_label
_atom_site_fract_x
_atom_site_fract_y
_atom_site_fract_z
_atom_site_occupancy
Ho1 0.000 0.000 0.000 1
Pt1 0.500 0.000 0.500 1
Pt2 0.000 0.500 0.500 1
Pt3 0.500 0.500 0.000 1
```


Energy of formation, respectively: -1.3 -2.8 -3.6 -3.2 -11.7 -4.5 eV per formula unit.